BeP2N4 | PBE | optimized geometry

Computed properties:
**Space group**: R-3, No. 148
**Energy**: -7.5346 eV/atom
**Energy relative to the elements**: -0.90 eV/atom
**Magnetization**: 0.00 μB/f.u.

Unit cell a=7.890 b=7.890 c=7.890 alpha=108.15 beta=108.15 gamma=108.15
Fractional positions:
1 Be 0.038 0.268 0.444
2 Be 0.268 0.444 0.038
3 Be 0.444 0.038 0.268
4 Be 0.556 0.962 0.732
5 Be 0.732 0.556 0.962
6 Be 0.962 0.732 0.556
7 P 0.070 0.887 0.292
8 P 0.113 0.708 0.930
9 P 0.223 0.630 0.399
10 P 0.292 0.070 0.887
11 P 0.370 0.601 0.777
12 P 0.399 0.223 0.630
13 P 0.601 0.777 0.370
14 P 0.630 0.399 0.223
15 P 0.708 0.930 0.113
16 P 0.777 0.370 0.601
17 P 0.887 0.292 0.070
18 P 0.930 0.113 0.708
19 N 0.087 0.751 0.413
20 N 0.125 0.452 0.168
21 N 0.136 0.836 0.803
22 N 0.164 0.197 0.864
23 N 0.168 0.125 0.452
24 N 0.197 0.864 0.164
25 N 0.213 0.519 0.543
26 N 0.249 0.587 0.913
27 N 0.413 0.087 0.751
28 N 0.452 0.168 0.125
29 N 0.457 0.787 0.481
30 N 0.481 0.457 0.787
31 N 0.519 0.543 0.213
32 N 0.543 0.213 0.519
33 N 0.548 0.832 0.875
34 N 0.587 0.913 0.249
35 N 0.751 0.413 0.087
36 N 0.787 0.481 0.457
37 N 0.803 0.136 0.836
38 N 0.832 0.875 0.548
39 N 0.836 0.803 0.136
40 N 0.864 0.164 0.197
41 N 0.875 0.548 0.832
42 N 0.913 0.249 0.587